(1)
# NaZr2Ge2P5SO24, optimized geometry, DFT PBE-GGA
# Crystal system: triclinic
# Mass density (g cm⁻³): 3.155
# Total energy after the MP2020 corrections (eV/atom): -7.761
# Energy of formation from the pure elements (eV per formula unit): -94.01
# Final energy (eV per atom): -7.29
data_NaZr2Ge2P5SO24
_cell_length_a 8.6206
_cell_length_b 8.6312
_cell_length_c 22.5601
_cell_angle_alpha 89.87
_cell_angle_beta 89.84
_cell_angle_gamma 60.10
_symmetry_space_group_name_H-M 'P 1'
_symmetry_Int_Tables_number 1
loop_
_symmetry_equiv_pos_as_xyz
'x,y,z'
loop_
_atom_site_label
_atom_site_fract_x
_atom_site_fract_y
_atom_site_fract_z
Na1 0.0000 0.0000 0.0000
Na2 0.0006 0.9951 0.4863
Na3 0.3339 0.3283 0.3289
Zr1 0.0030 0.9879 0.8511
Zr2 0.3295 0.3329 0.6743
Zr3 0.3392 0.3194 0.9759
Zr4 0.6614 0.6599 0.0250
Zr5 0.6731 0.6596 0.8067
Zr6 0.9994 0.9883 0.6303
Ge1 0.9998 0.0035 0.1514
Ge2 0.0027 0.9929 0.3459
Ge3 0.3344 0.3269 0.4699
Ge4 0.3445 0.3191 0.1876
Ge5 0.6673 0.6607 0.3071
Ge6 0.6686 0.6608 0.5085
P1 0.9997 0.2859 0.2476
P2 0.0045 0.7002 0.7421
P3 0.0373 0.3424 0.5682
P4 0.2894 0.7069 0.2462
P5 0.3172 0.0489 0.0869
P6 0.3515 0.6075 0.5679
P7 0.3798 0.6592 0.9132
P8 0.3819 0.9458 0.4087
P9 0.6126 0.0318 0.5686
P10 0.6302 0.3085 0.0868
P11 0.6678 0.9472 0.9140
P12 0.6690 0.3741 0.4088
P13 0.7181 0.9891 0.2472
P14 0.9536 0.6614 0.4088
P15 0.9564 0.3719 0.9141
S1 0.0539 0.6221 0.0852
S2 0.2914 0.9965 0.7420
S3 0.7086 0.2832 0.7421
O1 0.0190 0.1741 0.5773
O2 0.0265 0.7891 0.7981
O3 0.0356 0.8020 0.0909
O4 0.0444 0.1577 0.3012
O5 0.1170 0.3691 0.6261
O6 0.1353 0.5066 0.1369
O7 0.1379 0.3570 0.9200
O8 0.1443 0.4923 0.4168
O9 0.1504 0.0256 0.0941
O10 0.1575 0.5475 0.0299
O11 0.1643 0.7881 0.3009
O12 0.1676 0.2972 0.5158
O13 0.1695 0.3064 0.2383
O14 0.1705 0.5177 0.7363
O15 0.1830 0.7954 0.5759
O16 0.1850 0.0215 0.7963
O17 0.1916 0.9658 0.4010
O18 0.1941 0.8283 0.9095
O19 0.2023 0.9769 0.6894
O20 0.2055 0.8260 0.1901
O21 0.2818 0.1583 0.0296
O22 0.3053 0.5228 0.5159
O23 0.3083 0.5173 0.2372
O24 0.3130 0.1525 0.7369
O25 0.3526 0.1381 0.1400
O26 0.3587 0.4970 0.9207
O27 0.3600 0.1365 0.4167
O28 0.3770 0.5033 0.6262
O29 0.4613 0.8290 0.4648
O30 0.4661 0.6878 0.9681
O31 0.4657 0.8334 0.7470
O32 0.4748 0.6881 0.2560
O33 0.4827 0.6389 0.8559
O34 0.4843 0.8653 0.0780
O35 0.4995 0.3524 0.4169
O36 0.5011 0.8643 0.3535
O37 0.5019 0.1297 0.9185
O38 0.5035 0.3499 0.1400
O39 0.5094 0.1109 0.6268
O40 0.5164 0.6256 0.5603
O41 0.5274 0.1594 0.2396
O42 0.5286 0.1612 0.5160
O43 0.5352 0.2948 0.7370
O44 0.5531 0.2772 0.0296
O45 0.6307 0.4937 0.3536
O46 0.6330 0.8480 0.5606
O47 0.6478 0.8644 0.8566
O48 0.6512 0.4734 0.0782
O49 0.6877 0.4617 0.7468
O50 0.6960 0.8337 0.9688
O51 0.6982 0.8235 0.2564
O52 0.7060 0.4540 0.4648
O53 0.7935 0.1798 0.7964
O54 0.7989 0.0340 0.3015
O55 0.8008 0.0144 0.5758
O56 0.8175 0.1394 0.0941
O57 0.8204 0.1984 0.6895
O58 0.8323 0.9713 0.9093
O59 0.8331 0.4699 0.2572
O60 0.8350 0.9559 0.1908
O61 0.8374 0.6841 0.7471
O62 0.8369 0.6987 0.4650
O63 0.8386 0.1842 0.4010
O64 0.8411 0.4583 0.9688
O65 0.8549 0.5079 0.5604
O66 0.8714 0.6240 0.3539
O67 0.8728 0.4760 0.8566
O68 0.8751 0.6412 0.0779
O69 0.9618 0.2067 0.1911
O70 0.9741 0.8312 0.4012
O71 0.9771 0.1856 0.9082
O72 0.9822 0.8165 0.6876


(2)
# Na3ScGe3P6O24, optimized geometry, DFT PBE-GGA
# Crystal system: triclinic
# Mass density (g cm⁻³): 3.231
# Total energy after the MP2020 corrections (eV/atom): -7.350
# Energy of formation from the pure elements (eV per formula unit): -96.56
# Final energy (eV per atom): -6.90
data_Na3ScGe3P6O24
_cell_length_a 8.5140
_cell_length_b 8.5475
_cell_length_c 22.0122
_cell_angle_alpha 89.99
_cell_angle_beta 89.99
_cell_angle_gamma 60.20
_symmetry_space_group_name_H-M 'P 1'
_symmetry_Int_Tables_number 1
loop_
_symmetry_equiv_pos_as_xyz
'x,y,z'
loop_
_atom_site_label
_atom_site_fract_x
_atom_site_fract_y
_atom_site_fract_z
Na1 0.0000 0.0000 0.0000
Na2 0.0063 0.0001 0.4990
Na3 0.0430 0.6556 0.4148
Na4 0.3135 0.6547 0.9157
Na5 0.3403 0.3254 0.8329
Na6 0.3477 0.3176 0.3295
Na7 0.3762 0.9886 0.7485
Na8 0.6738 0.6589 0.1637
Na9 0.6809 0.6512 0.6636
Sc1 0.3412 0.3194 0.9815
Sc2 0.3464 0.3192 0.4781
Sc3 0.6807 0.6525 0.8092
Ge1 0.0012 0.9970 0.8512
Ge2 0.0058 0.9922 0.6436
Ge3 0.0065 0.9976 0.3485
Ge4 0.0074 0.9922 0.1457
Ge5 0.3402 0.3304 0.6818
Ge6 0.3410 0.3248 0.1826
Ge7 0.6730 0.6581 0.5183
Ge8 0.6727 0.6589 0.3086
Ge9 0.6762 0.6577 0.0186
P1 0.0086 0.7027 0.2477
P2 0.0098 0.2753 0.7448
P3 0.0453 0.3247 0.0837
P4 0.0465 0.6202 0.5814
P5 0.2860 0.7022 0.7458
P6 0.2955 0.9931 0.2473
P7 0.3405 0.0304 0.5827
P8 0.3395 0.6212 0.0827
P9 0.3823 0.9497 0.9130
P10 0.3890 0.6658 0.4122
P11 0.6360 0.0304 0.0835
P12 0.6359 0.3251 0.5824
P13 0.6754 0.9417 0.4116
P14 0.6820 0.3644 0.9149
P15 0.7185 0.2801 0.2473
P16 0.7207 0.0001 0.7453
P17 0.9518 0.3707 0.4123
P18 0.9600 0.6642 0.9148
O1 0.0266 0.1543 0.0924
O2 0.0272 0.8088 0.5905
O3 0.0443 0.7827 0.3069
O4 0.0539 0.1535 0.8029
O5 0.1312 0.3635 0.1404
O6 0.1325 0.4957 0.6380
O7 0.1388 0.3544 0.4174
O8 0.1518 0.5037 0.9205
O9 0.1558 0.5477 0.5233
O10 0.1569 0.2859 0.0265
O11 0.1696 0.8096 0.0921
O12 0.1707 0.0099 0.5907
O13 0.1752 0.7826 0.8057
O14 0.1768 0.0307 0.3053
O15 0.1792 0.5136 0.2405
O16 0.1869 0.2890 0.7392
O17 0.1923 0.9597 0.9077
O18 0.1948 0.8365 0.4062
O19 0.2020 0.8284 0.6906
O20 0.2123 0.9549 0.1912
O21 0.3022 0.1458 0.5266
O22 0.3020 0.5507 0.0242
O23 0.3037 0.5136 0.7393
O24 0.3147 0.1637 0.2403
O25 0.3583 0.1360 0.9188
O26 0.3608 0.5026 0.4171
O27 0.3778 0.1129 0.6411
O28 0.3779 0.4956 0.1389
O29 0.4657 0.8221 0.9697
O30 0.4686 0.7002 0.4710
O31 0.4726 0.6862 0.7495
O32 0.4851 0.8216 0.2546
O33 0.4877 0.8703 0.8545
O34 0.5068 0.6295 0.3552
O35 0.5112 0.1275 0.4164
O36 0.5117 0.1157 0.1402
O37 0.5135 0.3456 0.9209
O38 0.5128 0.3640 0.6395
O39 0.5127 0.6384 0.0758
O40 0.5131 0.8416 0.5755
O41 0.5273 0.1708 0.7396
O42 0.5278 0.2998 0.2402
O43 0.5601 0.2874 0.5257
O44 0.5637 0.1426 0.0265
O45 0.6412 0.4812 0.8585
O46 0.6451 0.8548 0.3549
O47 0.6523 0.8414 0.0759
O48 0.6526 0.4978 0.5756
O49 0.6928 0.8372 0.7492
O50 0.7002 0.4698 0.2549
O51 0.7152 0.4504 0.9726
O52 0.7198 0.8201 0.4698
O53 0.7991 0.1613 0.3052
O54 0.8008 0.0342 0.8040
O55 0.8249 0.1557 0.5905
O56 0.8260 0.0109 0.0925
O57 0.8364 0.6842 0.2547
O58 0.8379 0.4524 0.4711
O59 0.8392 0.9638 0.6889
O60 0.8397 0.1972 0.1913
O61 0.8412 0.6994 0.9726
O62 0.8457 0.4606 0.7485
O63 0.8528 0.9555 0.4058
O64 0.8549 0.1766 0.9078
O65 0.8564 0.4972 0.0765
O66 0.8560 0.6375 0.5752
O67 0.8707 0.4950 0.3561
O68 0.8835 0.6310 0.8576
O69 0.9709 0.1810 0.4058
O70 0.9706 0.8252 0.1921
O71 0.9798 0.1876 0.6886
O72 0.9801 0.8374 0.9085


(3)
# Na5Sc2SiGe2P5O24, optimized geometry, DFT PBE-GGA
# Crystal system: triclinic
# Mass density (g cm⁻³): 3.076
# Total energy after the MP2020 corrections (eV/atom): -7.377
# Energy of formation from the pure elements (eV per formula unit): -107.95
# Final energy (eV per atom): -6.95
data_Na5Sc2SiGe2P5O24
_cell_length_a 8.7892
_cell_length_b 8.8151
_cell_length_c 22.1074
_cell_angle_alpha 90.09
_cell_angle_beta 90.11
_cell_angle_gamma 119.87
_symmetry_space_group_name_H-M 'P 1'
_symmetry_Int_Tables_number 1
loop_
_symmetry_equiv_pos_as_xyz
'x,y,z'
loop_
_atom_site_label
_atom_site_fract_x
_atom_site_fract_y
_atom_site_fract_z
Na1 0.0000 0.0000 0.0000
Na2 0.9998 0.3454 0.2525
Na3 0.0257 0.6846 0.4204
Na4 0.2963 0.3145 0.4220
Na5 0.3110 0.6501 0.8374
Na6 0.3337 0.2862 0.0846
Na7 0.3398 0.6624 0.3342
Na8 0.3699 0.3607 0.7527
Na9 0.6234 0.9777 0.7530
Na10 0.6518 0.3057 0.1705
Na11 0.6611 0.6805 0.9183
Na12 0.6724 0.9619 0.4233
Na13 0.6763 0.3324 0.6671
Na14 0.9612 0.6518 0.0867
Na15 0.9967 0.9912 0.5078
Sc1 0.3261 0.6507 0.6922
Sc2 0.3364 0.6590 0.1905
Sc3 0.6566 0.3105 0.0175
Sc4 0.6648 0.3166 0.5272
Sc5 0.9913 0.9859 0.1524
Sc6 0.9967 0.9869 0.3532
Si1 0.3586 0.3139 0.9186
Si2 0.7230 0.6981 0.7552
Si3 0.9587 0.3254 0.4211
Ge1 0.0002 0.9896 0.8554
Ge2 0.3217 0.6458 0.4904
Ge3 0.3260 0.6482 0.9809
Ge4 0.6659 0.3230 0.3194
Ge5 0.6682 0.3309 0.8197
Ge6 0.9918 0.9786 0.6500
P1 0.0424 0.3647 0.0849
P2 0.0431 0.6654 0.5876
P3 0.2801 0.9912 0.7549
P4 0.3061 0.2826 0.2550
P5 0.3165 0.3511 0.5895
P6 0.3311 0.9377 0.0832
P7 0.3786 0.0274 0.4203
P8 0.6187 0.6564 0.0823
P9 0.6242 0.9362 0.5883
P10 0.6561 0.6048 0.4209
P11 0.6625 0.0261 0.9160
P12 0.6972 0.9943 0.2575
P13 0.9610 0.6148 0.9190
P14 0.9852 0.6796 0.2549
P15 0.9869 0.2644 0.7549
O1 0.0099 0.7870 0.3123
O2 0.0281 0.1836 0.8105
O3 0.0312 0.1841 0.0883
O4 0.0346 0.8385 0.5917
O5 0.1200 0.4688 0.1438
O6 0.1335 0.6401 0.6418
O7 0.1429 0.6483 0.2511
O8 0.1441 0.1687 0.5940
O9 0.1470 0.6356 0.9253
O10 0.1497 0.4466 0.7502
O11 0.1540 0.6917 0.5271
O12 0.1553 0.5072 0.4294
O13 0.1627 0.9549 0.0865
O14 0.1650 0.1406 0.9094
O15 0.1667 0.4565 0.0294
O16 0.1667 0.9612 0.8114
O17 0.1886 0.1979 0.3107
O18 0.1899 0.9942 0.4120
O19 0.2022 0.0337 0.6979
O20 0.2215 0.1737 0.1968
O21 0.2886 0.4388 0.5299
O22 0.2990 0.8173 0.0263
O23 0.3075 0.8328 0.7504
O24 0.3207 0.4639 0.2505
O25 0.3418 0.4603 0.6462
O26 0.3508 0.4998 0.9246
O27 0.3505 0.8534 0.1406
O28 0.3668 0.8439 0.4269
O29 0.4379 0.2828 0.9802
O30 0.4511 0.1462 0.4750
O31 0.4689 0.1592 0.7609
O32 0.4778 0.3308 0.5825
O33 0.4873 0.2946 0.2627
O34 0.4881 0.6243 0.4272
O35 0.4915 0.1234 0.0801
O36 0.4960 0.8391 0.9222
O37 0.4997 0.1119 0.3635
O38 0.4996 0.3619 0.8609
O39 0.5025 0.6235 0.1376
O40 0.5150 0.8350 0.2513
O41 0.5188 0.8515 0.6454
O42 0.5246 0.6729 0.7522
O43 0.5343 0.6816 0.0231
O44 0.5339 0.8200 0.5288
O45 0.6148 0.4835 0.3635
O46 0.6319 0.1122 0.8584
O47 0.6411 0.4925 0.0788
O48 0.6417 0.1169 0.5828
O49 0.6896 0.1684 0.2620
O50 0.6925 0.5247 0.4755
O51 0.6970 0.1384 0.9719
O52 0.6971 0.4978 0.7614
O53 0.7796 0.9715 0.3156
O54 0.8041 0.8190 0.0876
O55 0.8056 0.8240 0.8150
O56 0.8095 0.9513 0.5911
O57 0.8141 0.4950 0.2593
O58 0.8153 0.2757 0.7626
O59 0.8170 0.7894 0.4134
O60 0.8201 0.0287 0.2027
O61 0.8242 0.9976 0.9104
O62 0.8255 0.2781 0.4761
O63 0.8419 0.7889 0.6948
O64 0.8485 0.5413 0.9760
O65 0.8596 0.5059 0.5820
O66 0.8622 0.3513 0.0783
O67 0.8738 0.4898 0.8635
O68 0.8751 0.3690 0.3595
O69 0.9485 0.1462 0.6976
O70 0.9635 0.7660 0.1972
O71 0.9731 0.7963 0.9104
O72 0.9918 0.1598 0.4148